# 1
# Dy2TiO5 | the Materials Project database | GGA-PBE | relaxed
data_Dy2TiO5
_cell_length_a 7.255
_cell_length_b 7.500
_cell_length_c 17.730
_cell_angle_alpha 88.26
_cell_angle_beta 89.80
_cell_angle_gamma 61.14
_space_group_name_H-M_alt 'P 1'
_space_group_IT_number 1
_space_group_name_Hall 'P 1'
loop_
_atom_site_label
_atom_site_type_symbol
_atom_site_fract_x
_atom_site_fract_y
_atom_site_fract_z
Dy1 Dy 0.000 0.000 0.000
Dy2 Dy 0.001 0.461 0.495
Dy3 Dy 0.152 0.656 0.842
Dy4 Dy 0.160 0.645 0.342
Dy5 Dy 0.299 0.368 0.171
Dy6 Dy 0.301 0.858 0.174
Dy7 Dy 0.321 0.305 0.668
Dy8 Dy 0.465 0.042 0.987
Dy9 Dy 0.495 0.457 0.497
Dy10 Dy 0.631 0.681 0.828
Dy11 Dy 0.694 0.126 0.824
Dy12 Dy 0.767 0.386 0.669
Dy13 Dy 0.820 0.328 0.190
Dy14 Dy 0.821 0.846 0.174
Dy15 Dy 0.968 0.531 0.013
Dy16 Dy 0.989 0.981 0.520
Ti1 Ti 0.137 0.181 0.833
Ti2 Ti 0.161 0.155 0.334
Ti3 Ti 0.317 0.820 0.672
Ti4 Ti 0.471 0.002 0.500
Ti5 Ti 0.479 0.489 0.007
Ti6 Ti 0.644 0.667 0.344
Ti7 Ti 0.650 0.151 0.333
Ti8 Ti 0.822 0.811 0.665
O1 O 0.031 0.985 0.866
O2 O 0.046 0.867 0.643
O3 O 0.096 0.256 0.936
O4 O 0.142 0.676 0.466
O5 O 0.151 0.680 0.216
O6 O 0.181 0.126 0.445
O7 O 0.181 0.168 0.219
O8 O 0.192 0.653 0.967
O9 O 0.206 0.078 0.719
O10 O 0.244 0.357 0.795
O11 O 0.309 0.878 0.327
O12 O 0.313 0.908 0.053
O13 O 0.322 0.324 0.050
O14 O 0.329 0.926 0.573
O15 O 0.332 0.286 0.540
O16 O 0.336 0.291 0.330
O17 O 0.376 0.661 0.771
O18 O 0.439 0.531 0.625
O19 O 0.461 0.000 0.863
O20 O 0.531 0.495 0.107
O21 O 0.533 0.491 0.365
O22 O 0.607 0.744 0.453
O23 O 0.615 0.172 0.219
O24 O 0.615 0.735 0.693
O25 O 0.633 0.244 0.951
O26 O 0.633 0.680 0.235
O27 O 0.639 0.603 0.956
O28 O 0.654 0.124 0.444
O29 O 0.659 0.147 0.702
O30 O 0.712 0.918 0.571
O31 O 0.784 0.873 0.322
O32 O 0.790 0.864 0.037
O33 O 0.826 0.313 0.547
O34 O 0.842 0.351 0.797
O35 O 0.850 0.793 0.788
O36 O 0.890 0.185 0.313
O37 O 0.937 0.492 0.366
O38 O 0.949 0.516 0.131
O39 O 0.956 0.043 0.127
O40 O 0.983 0.532 0.636
# - Magnetic moment: 0.001 μB per cell
# - Polymorph energy (0 for the lowest one): 0.107 eV/atom

***

# 2
# Dy2Ti2O7 | the Materials Project database | GGA-PBE | relaxed
data_Dy2Ti2O7
_cell_length_a 7.190
_cell_length_b 7.302
_cell_length_c 17.650
_cell_angle_alpha 89.96
_cell_angle_beta 89.85
_cell_angle_gamma 61.56
_space_group_name_H-M_alt 'P 1'
_space_group_IT_number 1
_space_group_name_Hall 'P 1'
loop_
_atom_site_label
_atom_site_type_symbol
_atom_site_fract_x
_atom_site_fract_y
_atom_site_fract_z
Dy1 Dy 0.000 0.000 0.000
Dy2 Dy 0.000 0.000 0.500
Dy3 Dy 0.143 0.683 0.164
Dy4 Dy 0.205 0.146 0.664
Dy5 Dy 0.317 0.358 0.348
Dy6 Dy 0.334 0.353 0.835
Dy7 Dy 0.500 0.500 0.000
Dy8 Dy 0.500 0.500 0.500
Dy9 Dy 0.666 0.647 0.165
Dy10 Dy 0.683 0.642 0.652
Dy11 Dy 0.795 0.854 0.336
Dy12 Dy 0.857 0.317 0.836
Ti1 Ti 0.000 0.500 0.000
Ti2 Ti 0.000 0.500 0.500
Ti3 Ti 0.135 0.165 0.164
Ti4 Ti 0.175 0.677 0.670
Ti5 Ti 0.306 0.834 0.830
Ti6 Ti 0.321 0.882 0.305
Ti7 Ti 0.500 0.000 0.000
Ti8 Ti 0.500 0.000 0.500
Ti9 Ti 0.679 0.118 0.695
Ti10 Ti 0.694 0.166 0.170
Ti11 Ti 0.825 0.323 0.330
Ti12 Ti 0.865 0.835 0.836
O1 O 0.012 0.952 0.631
O2 O 0.023 0.967 0.871
O3 O 0.027 0.559 0.618
O4 O 0.039 0.435 0.116
O5 O 0.134 0.670 0.029
O6 O 0.160 0.676 0.782
O7 O 0.173 0.612 0.458
O8 O 0.180 0.683 0.293
O9 O 0.198 0.150 0.802
O10 O 0.225 0.182 0.262
O11 O 0.230 0.236 0.523
O12 O 0.294 0.048 0.075
O13 O 0.308 0.308 0.964
O14 O 0.321 0.860 0.197
O15 O 0.349 0.887 0.940
O16 O 0.355 0.844 0.517
O17 O 0.384 0.823 0.726
O18 O 0.393 0.298 0.706
O19 O 0.420 0.562 0.621
O20 O 0.433 0.012 0.384
O21 O 0.495 0.455 0.133
O22 O 0.505 0.545 0.867
O23 O 0.567 0.988 0.616
O24 O 0.580 0.438 0.379
O25 O 0.607 0.702 0.294
O26 O 0.616 0.177 0.274
O27 O 0.645 0.156 0.483
O28 O 0.651 0.113 0.060
O29 O 0.679 0.140 0.803
O30 O 0.692 0.692 0.036
O31 O 0.706 0.952 0.925
O32 O 0.770 0.764 0.477
O33 O 0.775 0.818 0.738
O34 O 0.802 0.850 0.198
O35 O 0.820 0.317 0.707
O36 O 0.827 0.388 0.542
O37 O 0.840 0.324 0.218
O38 O 0.866 0.330 0.971
O39 O 0.961 0.565 0.884
O40 O 0.973 0.441 0.382
O41 O 0.977 0.033 0.129
O42 O 0.988 0.048 0.369
# - Magnetic moment: 0.004 μB per cell

***

# 3
# Dy2TiO5 | the Materials Project database | GGA-PBE | relaxed
data_Dy2TiO5
_cell_length_a 5.914
_cell_length_b 5.914
_cell_length_c 10.528
_cell_angle_alpha 90.00
_cell_angle_beta 90.00
_cell_angle_gamma 139.60
_space_group_name_H-M_alt 'P 1'
_space_group_IT_number 1
_space_group_name_Hall 'P 1'
loop_
_atom_site_label
_atom_site_type_symbol
_atom_site_fract_x
_atom_site_fract_y
_atom_site_fract_z
Dy1 Dy 0.143 0.857 0.570
Dy2 Dy 0.143 0.857 0.930
Dy3 Dy 0.857 0.143 0.070
Dy4 Dy 0.857 0.143 0.430
Ti1 Ti 0.170 0.830 0.250
Ti2 Ti 0.830 0.170 0.750
O1 O 0.051 0.949 0.124
O2 O 0.051 0.949 0.376
O3 O 0.277 0.723 0.750
O4 O 0.289 0.711 0.092
O5 O 0.289 0.711 0.408
O6 O 0.711 0.289 0.592
O7 O 0.711 0.289 0.908
O8 O 0.723 0.277 0.250
O9 O 0.949 0.051 0.624
O10 O 0.949 0.051 0.876
# - Magnetic moment: 0.000 μB per cell
# - Polymorph energy (0 for the lowest one): 0.092 eV/atom

***

# 4
# Dy10Ti6O27 | the Materials Project database | GGA-PBE | relaxed
data_Dy10Ti6O27
_cell_length_a 7.294
_cell_length_b 7.294
_cell_length_c 24.269
_cell_angle_alpha 98.02
_cell_angle_beta 98.02
_cell_angle_gamma 60.59
_space_group_name_H-M_alt 'P 1'
_space_group_IT_number 1
_space_group_name_Hall 'P 1'
loop_
_atom_site_label
_atom_site_type_symbol
_atom_site_fract_x
_atom_site_fract_y
_atom_site_fract_z
Dy1 Dy 0.000 0.000 0.000
Dy2 Dy 0.001 0.001 0.484
Dy3 Dy 0.028 0.497 0.991
Dy4 Dy 0.125 0.612 0.862
Dy5 Dy 0.130 0.130 0.871
Dy6 Dy 0.137 0.648 0.355
Dy7 Dy 0.225 0.225 0.738
Dy8 Dy 0.369 0.369 0.596
Dy9 Dy 0.375 0.897 0.122
Dy10 Dy 0.399 0.863 0.601
Dy11 Dy 0.481 0.481 0.479
Dy12 Dy 0.497 0.028 0.991
Dy13 Dy 0.612 0.125 0.862
Dy14 Dy 0.625 0.625 0.855
Dy15 Dy 0.632 0.632 0.359
Dy16 Dy 0.648 0.137 0.355
Dy17 Dy 0.734 0.734 0.729
Dy18 Dy 0.746 0.746 0.237
Dy19 Dy 0.863 0.399 0.601
Dy20 Dy 0.897 0.375 0.122
Ti1 Ti 0.126 0.126 0.361
Ti2 Ti 0.243 0.749 0.743
Ti3 Ti 0.257 0.257 0.242
Ti4 Ti 0.261 0.757 0.236
Ti5 Ti 0.376 0.376 0.116
Ti6 Ti 0.504 0.504 0.989
Ti7 Ti 0.505 0.996 0.482
Ti8 Ti 0.749 0.243 0.743
Ti9 Ti 0.757 0.261 0.236
Ti10 Ti 0.853 0.853 0.099
Ti11 Ti 0.889 0.889 0.619
Ti12 Ti 0.996 0.505 0.482
O1 O 0.005 0.380 0.407
O2 O 0.008 0.008 0.096
O3 O 0.024 0.570 0.566
O4 O 0.026 0.026 0.581
O5 O 0.047 0.047 0.750
O6 O 0.053 0.552 0.090
O7 O 0.123 0.659 0.455
O8 O 0.124 0.587 0.749
O9 O 0.135 0.694 0.953
O10 O 0.149 0.725 0.658
O11 O 0.151 0.151 0.966
O12 O 0.164 0.567 0.254
O13 O 0.252 0.252 0.152
O14 O 0.252 0.252 0.318
O15 O 0.264 0.790 0.825
O16 O 0.273 0.273 0.830
O17 O 0.274 0.829 0.318
O18 O 0.308 0.308 0.504
O19 O 0.309 0.649 0.156
O20 O 0.353 0.859 0.504
O21 O 0.364 0.954 0.219
O22 O 0.380 0.005 0.407
O23 O 0.381 0.381 0.030
O24 O 0.389 0.911 0.695
O25 O 0.407 0.777 0.027
O26 O 0.474 0.474 0.388
O27 O 0.479 0.946 0.900
O28 O 0.497 0.497 0.911
O29 O 0.524 0.524 0.577
O30 O 0.552 0.053 0.090
O31 O 0.555 0.555 0.750
O32 O 0.567 0.164 0.254
O33 O 0.570 0.024 0.566
O34 O 0.577 0.577 0.257
O35 O 0.587 0.124 0.749
O36 O 0.649 0.309 0.156
O37 O 0.659 0.123 0.455
O38 O 0.694 0.135 0.953
O39 O 0.723 0.723 0.460
O40 O 0.724 0.724 0.145
O41 O 0.725 0.149 0.658
O42 O 0.744 0.744 0.638
O43 O 0.777 0.407 0.027
O44 O 0.788 0.788 0.329
O45 O 0.790 0.264 0.825
O46 O 0.791 0.791 0.824
O47 O 0.824 0.824 0.023
O48 O 0.829 0.274 0.318
O49 O 0.859 0.353 0.504
O50 O 0.911 0.389 0.695
O51 O 0.946 0.479 0.900
O52 O 0.954 0.364 0.219
O53 O 0.974 0.974 0.225
O54 O 0.993 0.993 0.391
# - Magnetic moment: 0.027 μB per cell
# - Polymorph energy (0 for the lowest one): 0.031 eV/atom

***

# 5
## Dy2Ti2O7 (GGA-PBE)

Data for crystalline Dy2Ti2O7 at its relaxed geometry.

CIF file:
```
data_Dy2Ti2O7
_cell_length_a 7.546
_cell_length_b 5.352
_cell_length_c 13.212
_cell_angle_alpha 90.00
_cell_angle_beta 98.32
_cell_angle_gamma 90.00
_space_group_name_H-M_alt 'P 1'
_space_group_IT_number 1
_space_group_name_Hall 'P 1'
loop_
_atom_site_label
_atom_site_type_symbol
_atom_site_fract_x
_atom_site_fract_y
_atom_site_fract_z
Dy1 Dy 0.142 0.000 0.063
Dy2 Dy 0.233 0.413 0.423
Dy3 Dy 0.286 0.887 0.634
Dy4 Dy 0.354 0.419 0.884
Dy5 Dy 0.646 0.919 0.116
Dy6 Dy 0.714 0.387 0.366
Dy7 Dy 0.767 0.913 0.577
Dy8 Dy 0.858 0.500 0.937
Ti1 Ti 0.031 0.409 0.621
Ti2 Ti 0.070 0.924 0.821
Ti3 Ti 0.410 0.434 0.172
Ti4 Ti 0.470 0.907 0.375
Ti5 Ti 0.530 0.407 0.625
Ti6 Ti 0.590 0.934 0.828
Ti7 Ti 0.930 0.424 0.179
Ti8 Ti 0.969 0.909 0.379
O1 O 0.011 0.073 0.679
O2 O 0.061 0.680 0.525
O3 O 0.073 0.202 0.908
O4 O 0.130 0.592 0.733
O5 O 0.139 0.706 0.931
O6 O 0.173 0.311 0.187
O7 O 0.221 0.989 0.382
O8 O 0.272 0.291 0.589
O9 O 0.327 0.019 0.806
O10 O 0.365 0.735 0.116
O11 O 0.412 0.227 0.054
O12 O 0.424 0.572 0.322
O13 O 0.453 0.678 0.526
O14 O 0.484 0.592 0.735
O15 O 0.516 0.092 0.265
O16 O 0.547 0.178 0.474
O17 O 0.576 0.072 0.678
O18 O 0.588 0.727 0.946
O19 O 0.635 0.235 0.884
O20 O 0.673 0.519 0.194
O21 O 0.728 0.791 0.411
O22 O 0.779 0.489 0.618
O23 O 0.827 0.811 0.813
O24 O 0.861 0.206 0.069
O25 O 0.870 0.092 0.267
O26 O 0.927 0.702 0.092
O27 O 0.939 0.180 0.475
O28 O 0.989 0.573 0.321
```

***

# 6
# Dy2TiO5 | the Materials Project database | GGA-PBE | relaxed
data_Dy2TiO5
_cell_length_a 7.458
_cell_length_b 3.636
_cell_length_c 15.566
_cell_angle_alpha 90.00
_cell_angle_beta 90.00
_cell_angle_gamma 90.00
_space_group_name_H-M_alt 'P 1'
_space_group_IT_number 1
_space_group_name_Hall 'P 1'
loop_
_atom_site_label
_atom_site_type_symbol
_atom_site_fract_x
_atom_site_fract_y
_atom_site_fract_z
Dy1 Dy 0.108 0.250 0.083
Dy2 Dy 0.149 0.250 0.738
Dy3 Dy 0.351 0.750 0.238
Dy4 Dy 0.392 0.750 0.583
Dy5 Dy 0.608 0.250 0.417
Dy6 Dy 0.649 0.250 0.762
Dy7 Dy 0.851 0.750 0.262
Dy8 Dy 0.892 0.750 0.917
Ti1 Ti 0.120 0.250 0.424
Ti2 Ti 0.380 0.750 0.924
Ti3 Ti 0.620 0.250 0.076
Ti4 Ti 0.880 0.750 0.576
O1 O 0.079 0.750 0.454
O2 O 0.083 0.750 0.174
O3 O 0.110 0.750 0.649
O4 O 0.156 0.750 0.995
O5 O 0.240 0.750 0.825
O6 O 0.260 0.250 0.325
O7 O 0.344 0.250 0.495
O8 O 0.390 0.250 0.149
O9 O 0.417 0.250 0.674
O10 O 0.421 0.250 0.954
O11 O 0.579 0.750 0.046
O12 O 0.583 0.750 0.326
O13 O 0.610 0.750 0.851
O14 O 0.656 0.750 0.505
O15 O 0.740 0.750 0.675
O16 O 0.760 0.250 0.175
O17 O 0.844 0.250 0.005
O18 O 0.890 0.250 0.351
O19 O 0.917 0.250 0.826
O20 O 0.921 0.250 0.546
# - Magnetic moment: 0.001 μB per cell
# - Polymorph energy (0 for the lowest one): 0.047 eV/atom

***

# 7
# Dy2TiO5 | the Materials Project database | GGA-PBE | relaxed
data_Dy2TiO5
_cell_length_a 7.159
_cell_length_b 7.283
_cell_length_c 12.698
_cell_angle_alpha 91.21
_cell_angle_beta 105.71
_cell_angle_gamma 119.15
_space_group_name_H-M_alt 'P 1'
_space_group_IT_number 1
_space_group_name_Hall 'P 1'
loop_
_atom_site_label
_atom_site_type_symbol
_atom_site_fract_x
_atom_site_fract_y
_atom_site_fract_z
Dy1 Dy 0.000 0.000 0.000
Dy2 Dy 0.004 0.496 0.547
Dy3 Dy 0.015 0.484 0.034
Dy4 Dy 0.475 0.459 0.013
Dy5 Dy 0.483 0.471 0.502
Dy6 Dy 0.496 0.971 0.011
Dy7 Dy 0.503 0.696 0.771
Dy8 Dy 0.508 0.229 0.257
Dy9 Dy 0.528 0.988 0.542
Dy10 Dy 0.602 0.738 0.270
Ti1 Ti 0.000 0.222 0.759
Ti2 Ti 0.020 0.742 0.778
Ti3 Ti 0.027 0.961 0.519
Ti4 Ti 0.036 0.184 0.262
Ti5 Ti 0.516 0.240 0.776
O1 O 0.076 0.746 0.938
O2 O 0.085 0.519 0.737
O3 O 0.087 0.187 0.424
O4 O 0.093 0.307 0.935
O5 O 0.100 0.791 0.452
O6 O 0.108 0.999 0.220
O7 O 0.324 0.341 0.802
O8 O 0.332 0.140 0.611
O9 O 0.334 0.430 0.305
O10 O 0.337 0.932 0.813
O11 O 0.363 0.146 0.074
O12 O 0.378 0.655 0.588
O13 O 0.384 0.681 0.101
O14 O 0.629 0.281 0.454
O15 O 0.632 0.773 0.953
O16 O 0.651 0.312 0.938
O17 O 0.665 0.808 0.452
O18 O 0.677 0.116 0.730
O19 O 0.683 0.528 0.198
O20 O 0.685 0.513 0.744
O21 O 0.708 0.077 0.249
O22 O 0.910 0.192 0.105
O23 O 0.914 0.938 0.802
O24 O 0.922 0.728 0.612
O25 O 0.935 0.157 0.607
# - Magnetic moment: 0.002 μB per cell
# - Polymorph energy (0 for the lowest one): 0.127 eV/atom

***

# 8
# Dy2TiO5 | the Materials Project database | GGA-PBE | relaxed
data_Dy2TiO5
_cell_length_a 6.467
_cell_length_b 6.467
_cell_length_c 7.551
_cell_angle_alpha 111.85
_cell_angle_beta 111.85
_cell_angle_gamma 48.22
_space_group_name_H-M_alt 'P 1'
_space_group_IT_number 1
_space_group_name_Hall 'P 1'
loop_
_atom_site_label
_atom_site_type_symbol
_atom_site_fract_x
_atom_site_fract_y
_atom_site_fract_z
Dy1 Dy 0.128 0.152 0.258
Dy2 Dy 0.152 0.128 0.758
Dy3 Dy 0.848 0.872 0.242
Dy4 Dy 0.872 0.848 0.742
Ti1 Ti 0.500 0.500 0.000
Ti2 Ti 0.500 0.500 0.500
O1 O 0.111 0.745 0.041
O2 O 0.185 0.479 0.360
O3 O 0.255 0.889 0.459
O4 O 0.335 0.665 0.750
O5 O 0.479 0.185 0.860
O6 O 0.521 0.815 0.140
O7 O 0.665 0.335 0.250
O8 O 0.745 0.111 0.541
O9 O 0.815 0.521 0.640
O10 O 0.889 0.255 0.959
# - Magnetic moment: 0.001 μB per cell
# - Polymorph energy (0 for the lowest one): 0.103 eV/atom

***

The calculated total energy results, record by record, are as follows: -8.58, -8.62, -8.60, -8.58, -8.78, -8.64, -8.56, -8.59 eV per atom.
The calculated formation energy results, record by record, are as follows: -3.781, -3.638, -3.796, -3.736, -3.791, -3.841, -3.761, -3.785 eV/atom.